# U2Cu3Si4Ni (PBE, relaxed)
data_U2Cu3Si4Ni
_cell_length_a 3.949
_cell_length_b 3.949
_cell_length_c 9.901
_cell_angle_alpha 90.00
_cell_angle_beta 90.00
_cell_angle_gamma 90.00
_space_group_name_H-M_alt 'P -4 m 2'
_space_group_IT_number 115
_space_group_name_Hall 'P -4 -2'
loop_
_atom_site_label
_atom_site_type_symbol
_atom_site_fract_x
_atom_site_fract_y
_atom_site_fract_z
_atom_site_occupancy
U1 U 0.000 0.500 0.246 1
Cu1 Cu 0.000 0.000 0.000 1
Cu2 Cu 0.000 0.000 0.500 1
Cu3 Cu 0.500 0.500 0.500 1
Si1 Si 0.000 0.500 0.637 1
Si2 Si 0.000 0.500 0.873 1
Ni1 Ni 0.500 0.500 0.000 1
# - DFT total energy: -66.2 eV/cell
# - Energy relative to the elements: -0.38 eV/atom
# - M_tot: 0.431 μB/atom

***

# UCu2Si2Ni8 (PBE, relaxed)
data_UCu2Si2Ni8
_cell_length_a 4.869
_cell_length_b 11.390
_cell_length_c 11.627
_cell_angle_alpha 90.00
_cell_angle_beta 90.00
_cell_angle_gamma 90.00
_space_group_name_H-M_alt 'F m m m'
_space_group_IT_number 69
_space_group_name_Hall '-F 2 2'
loop_
_atom_site_label
_atom_site_type_symbol
_atom_site_fract_x
_atom_site_fract_y
_atom_site_fract_z
_atom_site_occupancy
U1 U 0.000 0.000 0.000 1
Cu1 Cu 0.250 0.250 0.000 1
Si1 Si 0.250 0.000 0.250 1
Ni1 Ni 0.000 0.108 0.386 1
Ni2 Ni 0.000 0.170 0.176 1
# - DFT total energy: -320.4 eV/cell
# - Energy relative to the elements: -0.27 eV/atom
# - M_tot: 0.089 μB/atom

***

# TiCuNi2 (PBE, relaxed)
data_TiCuNi2
_cell_length_a 4.230
_cell_length_b 5.180
_cell_length_c 4.424
_cell_angle_alpha 90.00
_cell_angle_beta 90.00
_cell_angle_gamma 90.00
_space_group_name_H-M_alt 'P m m n'
_space_group_IT_number 59
loop_
_space_group_symop_operation_xyz
'x,y,z'
'-x,-y,-z'
'-x+1/2,-y+1/2,z'
'x+1/2,y+1/2,-z'
'x+1/2,-y,-z'
'-x+1/2,y,z'
'-x,y+1/2,-z'
'x,-y+1/2,z'
loop_
_atom_site_label
_atom_site_type_symbol
_atom_site_fract_x
_atom_site_fract_y
_atom_site_fract_z
_atom_site_occupancy
Ti1 Ti 0.250 0.250 0.167 1
Cu1 Cu 0.250 0.750 0.188 1
Ni1 Ni 0.250 0.001 0.671 1
# - DFT total energy: -49.8 eV/cell
# - Energy relative to the elements: -0.34 eV/atom
# - M_tot: 0.000 μB/atom

***

# Ti2CuNi (PBE, relaxed)
data_Ti2CuNi
_cell_length_a 2.874
_cell_length_b 4.251
_cell_length_c 4.523
_cell_angle_alpha 90.00
_cell_angle_beta 90.00
_cell_angle_gamma 90.00
_space_group_name_H-M_alt 'P m m 2'
_space_group_IT_number 25
_space_group_name_Hall 'P 2 -2'
loop_
_atom_site_label
_atom_site_type_symbol
_atom_site_fract_x
_atom_site_fract_y
_atom_site_fract_z
_atom_site_occupancy
Ti1 Ti 0.000 0.000 0.000 1
Ti2 Ti 0.000 0.500 0.442 1
Cu1 Cu 0.500 0.000 0.531 1
Ni1 Ni 0.500 0.500 0.910 1
# - DFT total energy: -26.5 eV/cell
# - Energy relative to the elements: -0.21 eV/atom
# - M_tot: 0.063 μB/atom

***

# TiCuNi (PBE, relaxed)
data_TiCuNi
_cell_length_a 3.138
_cell_length_b 3.138
_cell_length_c 7.908
_cell_angle_alpha 90.00
_cell_angle_beta 90.00
_cell_angle_gamma 90.00
_space_group_name_H-M_alt 'I 4 m m'
_space_group_IT_number 107
_space_group_name_Hall 'I 4 -2'
loop_
_atom_site_label
_atom_site_type_symbol
_atom_site_fract_x
_atom_site_fract_y
_atom_site_fract_z
_atom_site_occupancy
Ti1 Ti 0.000 0.000 0.000 1
Cu1 Cu 0.000 0.000 0.674 1
Ni1 Ni 0.000 0.000 0.344 1
# - DFT total energy: -37.4 eV/cell
# - Energy relative to the elements: -0.31 eV/atom

***

# TiCuNi2 (PBE, relaxed)
data_TiCuNi2
_cell_length_a 2.997
_cell_length_b 2.997
_cell_length_c 5.465
_cell_angle_alpha 90.00
_cell_angle_beta 90.00
_cell_angle_gamma 90.00
_space_group_name_H-M_alt 'P 4/m m m'
_space_group_IT_number 123
_space_group_name_Hall '-P 4 2'
loop_
_atom_site_label
_atom_site_type_symbol
_atom_site_fract_x
_atom_site_fract_y
_atom_site_fract_z
_atom_site_occupancy
Ti1 Ti 0.000 0.000 0.000 1
Cu1 Cu 0.000 0.000 0.500 1
Ni1 Ni 0.500 0.500 0.256 1
# - DFT total energy: -24.7 eV/cell
# - Energy relative to the elements: -0.28 eV/atom
# - M_tot: 0.003 μB/atom

***

# TiCuNi2 (PBE, relaxed)
data_TiCuNi2
_cell_length_a 3.674
_cell_length_b 3.674
_cell_length_c 7.149
_cell_angle_alpha 90.00
_cell_angle_beta 90.00
_cell_angle_gamma 90.00
_space_group_name_H-M_alt 'I 4/m m m'
_space_group_IT_number 139
_space_group_name_Hall '-I 4 2'
loop_
_atom_site_label
_atom_site_type_symbol
_atom_site_fract_x
_atom_site_fract_y
_atom_site_fract_z
_atom_site_occupancy
Ti1 Ti 0.000 0.000 0.000 1
Cu1 Cu 0.000 0.000 0.500 1
Ni1 Ni 0.000 0.500 0.250 1
# - DFT total energy: -49.9 eV/cell
# - Energy relative to the elements: -0.35 eV/atom
# - M_tot: 0.000 μB/atom

***

# Ti2CuNi (PBE, relaxed)
data_Ti2CuNi
_cell_length_a 3.043
_cell_length_b 3.043
_cell_length_c 6.055
_cell_angle_alpha 90.00
_cell_angle_beta 90.00
_cell_angle_gamma 90.00
_space_group_name_H-M_alt 'P 4/m m m'
_space_group_IT_number 123
_space_group_name_Hall '-P 4 2'
loop_
_atom_site_label
_atom_site_type_symbol
_atom_site_fract_x
_atom_site_fract_y
_atom_site_fract_z
_atom_site_occupancy
Ti1 Ti 0.000 0.000 0.243 1
Cu1 Cu 0.500 0.500 0.500 1
Ni1 Ni 0.500 0.500 0.000 1
# - DFT total energy: -26.5 eV/cell
# - Energy relative to the elements: -0.20 eV/atom
# - M_tot: 0.005 μB/atom